LiCa2ReO6 | PBE-GGA | relaxed

Results
**Energy of formation**: -26.49 eV per formula unit

Cell: 5.512 5.512 5.512 Å, 60.00 60.00 60.00°
Sites, in units of the cell vectors:
Li 0.000 0.000 0.000
Ca 0.250 0.250 0.250
Ca 0.750 0.750 0.750
Re 0.500 0.500 0.500
O 0.258 0.258 0.742
O 0.258 0.742 0.258
O 0.258 0.742 0.742
O 0.742 0.258 0.258
O 0.742 0.258 0.742
O 0.742 0.742 0.258


Li2Ca4Si4O13 | PBE-GGA | relaxed

Results
**Energy of formation**: -75.99 eV per formula unit

Cell: 7.227 8.313 10.576 Å, 70.73 89.89 77.80°
Sites, in units of the cell vectors:
Li 0.229 0.076 0.388
Li 0.252 0.091 0.909
Li 0.748 0.909 0.091
Li 0.771 0.924 0.612
Ca 0.075 0.711 0.901
Ca 0.083 0.696 0.503
Ca 0.429 0.293 0.107
Ca 0.430 0.302 0.494
Ca 0.570 0.698 0.506
Ca 0.571 0.707 0.893
Ca 0.917 0.304 0.497
Ca 0.925 0.289 0.099
Si 0.075 0.584 0.222
Si 0.267 0.926 0.678
Si 0.284 0.883 0.197
Si 0.362 0.407 0.780
Si 0.638 0.593 0.220
Si 0.716 0.117 0.803
Si 0.733 0.074 0.322
Si 0.925 0.416 0.778
O 0.098 0.822 0.665
O 0.134 0.491 0.381
O 0.135 0.467 0.126
O 0.142 0.772 0.154
O 0.158 0.341 0.802
O 0.214 0.123 0.565
O 0.227 0.088 0.101
O 0.271 0.911 0.839
O 0.284 0.853 0.357
O 0.380 0.509 0.884
O 0.382 0.497 0.622
O 0.489 0.833 0.660
O 0.497 0.795 0.157
O 0.503 0.205 0.843
O 0.511 0.167 0.340
O 0.618 0.503 0.378
O 0.620 0.491 0.116
O 0.716 0.147 0.643
O 0.729 0.089 0.161
O 0.773 0.912 0.899
O 0.786 0.877 0.435
O 0.842 0.659 0.198
O 0.858 0.228 0.846
O 0.865 0.533 0.874
O 0.866 0.509 0.619
O 0.902 0.178 0.335


Li2Ca2Si5O13 | PBE-GGA | relaxed

Results
**Energy of formation**: -71.23 eV per formula unit

Cell: 7.587 7.851 10.306 Å, 83.22 68.83 75.77°
Sites, in units of the cell vectors:
Li 0.162 0.407 0.248
Li 0.177 0.078 0.373
Li 0.823 0.922 0.627
Li 0.838 0.593 0.752
Ca 0.024 0.167 0.106
Ca 0.451 0.852 0.891
Ca 0.549 0.148 0.109
Ca 0.976 0.833 0.894
Si 0.146 0.229 0.764
Si 0.218 0.692 0.538
Si 0.265 0.768 0.234
Si 0.315 0.449 0.908
Si 0.364 0.301 0.461
Si 0.636 0.699 0.539
Si 0.685 0.551 0.092
Si 0.735 0.232 0.766
Si 0.782 0.308 0.462
Si 0.854 0.771 0.236
O 0.028 0.764 0.667
O 0.077 0.691 0.241
O 0.159 0.058 0.868
O 0.196 0.395 0.816
O 0.218 0.825 0.397
O 0.221 0.498 0.493
O 0.254 0.660 0.923
O 0.277 0.329 0.052
O 0.289 0.178 0.604
O 0.298 0.942 0.136
O 0.347 0.226 0.329
O 0.414 0.688 0.567
O 0.449 0.602 0.189
O 0.551 0.398 0.811
O 0.586 0.312 0.433
O 0.653 0.774 0.671
O 0.702 0.058 0.864
O 0.711 0.822 0.396
O 0.723 0.671 0.948
O 0.746 0.340 0.077
O 0.779 0.502 0.507
O 0.782 0.175 0.603
O 0.804 0.605 0.184
O 0.841 0.942 0.132
O 0.923 0.309 0.759
O 0.972 0.236 0.333


LiCa2Ta3O10 | PBE-GGA | relaxed

Results
**Energy of formation**: -53.01 eV per formula unit

Cell: 14.183 14.183 14.183 Å, 164.03 164.03 22.65°
Sites, in units of the cell vectors:
Li 0.000 0.000 0.000
Ca 0.167 0.667 0.500
Ca 0.333 0.833 0.500
Ta 0.596 0.096 0.500
Ta 0.750 0.250 0.500
Ta 0.904 0.404 0.500
O 0.111 0.111 0.000
O 0.250 0.250 0.000
O 0.388 0.388 0.000
O 0.532 0.032 0.500
O 0.612 0.612 0.000
O 0.679 0.179 0.500
O 0.750 0.750 0.000
O 0.821 0.321 0.500
O 0.889 0.889 0.000
O 0.968 0.468 0.500


LiCa3Zr3TaO12 | PBE-GGA | relaxed

Results
**Energy of formation**: -70.77 eV per formula unit

Cell: 5.560 5.799 15.968 Å, 90.00 90.13 90.00°
Sites, in units of the cell vectors:
Li 0.215 0.000 0.000
Li 0.785 0.500 0.000
Ca 0.230 0.064 0.241
Ca 0.237 0.064 0.758
Ca 0.267 0.168 0.500
Ca 0.733 0.668 0.500
Ca 0.763 0.564 0.242
Ca 0.770 0.564 0.759
Zr 0.246 0.615 0.373
Zr 0.251 0.616 0.628
Zr 0.267 0.600 0.881
Zr 0.733 0.100 0.119
Zr 0.749 0.116 0.372
Zr 0.754 0.115 0.627
Ta 0.253 0.607 0.120
Ta 0.747 0.107 0.880
O 0.040 0.352 0.150
O 0.043 0.335 0.848
O 0.056 0.311 0.342
O 0.062 0.310 0.657
O 0.132 0.633 0.004
O 0.144 0.574 0.500
O 0.347 0.654 0.243
O 0.358 0.661 0.755
O 0.420 0.926 0.101
O 0.442 0.916 0.401
O 0.447 0.916 0.597
O 0.457 0.938 0.903
O 0.543 0.438 0.097
O 0.553 0.416 0.403
O 0.558 0.416 0.599
O 0.580 0.426 0.899
O 0.642 0.161 0.245
O 0.653 0.154 0.757
O 0.856 0.074 0.500
O 0.868 0.133 0.996
O 0.938 0.810 0.343
O 0.944 0.811 0.658
O 0.957 0.835 0.152
O 0.960 0.852 0.850


LiCaPb | PBE-GGA | relaxed

Results
**Energy of formation**: -1.42 eV per formula unit

Cell: 4.990 4.990 10.985 Å, 90.00 90.00 120.00°
Sites, in units of the cell vectors:
Li 0.000 0.000 0.000
Li 0.333 0.667 0.304
Li 0.333 0.667 0.696
Ca 0.667 0.333 0.166
Ca 0.667 0.333 0.500
Ca 0.667 0.333 0.834
Pb 0.000 0.000 0.344
Pb 0.000 0.000 0.656
Pb 0.333 0.667 0.000


LiCaSb | PBE-GGA | relaxed

Results
**Energy of formation**: -3.02 eV per formula unit

Cell: 7.676 4.646 8.357 Å, 90.00 90.00 90.00°
Sites, in units of the cell vectors:
Li 0.151 0.250 0.072
Li 0.349 0.750 0.572
Li 0.651 0.250 0.428
Li 0.849 0.750 0.928
Ca 0.010 0.250 0.702
Ca 0.490 0.750 0.202
Ca 0.510 0.250 0.798
Ca 0.990 0.750 0.298
Sb 0.231 0.750 0.900
Sb 0.269 0.250 0.400
Sb 0.731 0.750 0.600
Sb 0.769 0.250 0.100


LiCa2Si3 | PBE-GGA | relaxed

Results
**Energy of formation**: -2.53 eV per formula unit

Cell: 10.530 11.234 4.368 Å, 90.00 90.00 90.00°
Sites, in units of the cell vectors:
Li 0.138 0.218 0.000
Li 0.362 0.718 0.500
Li 0.638 0.282 0.500
Li 0.862 0.782 0.000
Ca 0.051 0.651 0.500
Ca 0.178 0.926 0.000
Ca 0.322 0.426 0.500
Ca 0.449 0.151 0.000
Ca 0.551 0.849 0.000
Ca 0.678 0.574 0.500
Ca 0.822 0.074 0.000
Ca 0.949 0.349 0.500
Si 0.035 0.099 0.500
Si 0.109 0.460 0.000
Si 0.245 0.633 0.000
Si 0.255 0.133 0.500
Si 0.391 0.960 0.500
Si 0.465 0.599 0.000
Si 0.535 0.401 0.000
Si 0.609 0.040 0.500
Si 0.745 0.867 0.500
Si 0.755 0.367 0.000
Si 0.891 0.540 0.000
Si 0.965 0.901 0.500


> Which formula does entry 1 have?

LiCa2ReO6


> Which of these has the highest energy of formation?

LiCaPb


> energy of formation of number 4 (LiCa2Ta3O10)?

-53.01 eV per formula unit